Entry 1:
Here is a geometry-optimized RbLiMnP3HO10 structure from the Materials Project database. Energies are from GGA+U.

Summary:
Calculated formation energy = -2.5252 eV per atom
Space group = Cc, No. 9
Mass density = 2.7 g cm⁻³
Calculated volume = 487.76 Å³/cell
Total DFT energy (no corrections) = -6.797 eV per atom

a = 7.459 Å, b = 7.459 Å, c = 9.591 Å
α = 104.87°, β = 104.87°, γ = 75.01°
Fractional coordinates of all 34 atoms:
Rb 0.041 0.959 0.500
Rb 0.959 0.041 0.000
Li 0.349 0.565 0.253
Li 0.565 0.349 0.753
Mn 0.003 0.497 0.735
Mn 0.497 0.003 0.235
P 0.213 0.347 0.424
P 0.347 0.213 0.924
P 0.370 0.619 0.991
P 0.619 0.370 0.491
P 0.647 0.780 0.542
P 0.780 0.647 0.042
H 0.500 0.981 0.715
H 0.981 0.500 0.215
O 0.089 0.369 0.532
O 0.151 0.244 0.826
O 0.167 0.511 0.340
O 0.232 0.648 0.852
O 0.244 0.151 0.326
O 0.352 0.758 0.136
O 0.369 0.089 0.032
O 0.371 0.425 0.037
O 0.425 0.371 0.537
O 0.479 0.868 0.629
O 0.511 0.167 0.840
O 0.577 0.583 0.951
O 0.583 0.577 0.451
O 0.636 0.881 0.423
O 0.648 0.232 0.352
O 0.744 0.838 0.143
O 0.758 0.352 0.636
O 0.838 0.744 0.643
O 0.868 0.479 0.129
O 0.881 0.636 0.923

Entry 2:
Here is a geometry-optimized LiMnVP2H2O10 structure from the Materials Project database. Energies are from GGA+U.

Summary:
Calculated formation energy = -2.3329 eV per atom
Space group = P1, No. 1
Mass density = 3.1 g cm⁻³
Calculated volume = 180.64 Å³/cell
Total DFT energy (no corrections) = -6.863 eV per atom
Excess energy over the best structure of this formula in the dataset = 0.0 meV per atom

a = 5.278 Å, b = 5.340 Å, c = 7.354 Å
α = 110.42°, β = 103.56°, γ = 100.61°
Fractional coordinates of all 17 atoms:
Li 0.000 0.000 0.000
Mn 0.063 0.442 0.851
V 0.570 0.940 0.360
P 0.509 0.561 0.628
P 0.620 0.319 0.087
H 0.059 0.731 0.198
H 0.078 0.116 0.523
O 0.197 0.768 0.132
O 0.314 0.232 0.986
O 0.348 0.617 0.779
O 0.411 0.241 0.485
O 0.436 0.722 0.490
O 0.699 0.143 0.211
O 0.733 0.640 0.229
O 0.781 0.257 0.932
O 0.813 0.666 0.745
O 0.923 0.125 0.576

Entry 3:
Here is a geometry-optimized Li2MnVP2H2O10 structure from the Materials Project database. Energies are from GGA+U.

Summary:
Calculated formation energy = -2.4042 eV per atom
Space group = P1, No. 1
Mass density = 3.1 g cm⁻³
Calculated volume = 549.13 Å³/cell
Total DFT energy (no corrections) = -6.789 eV per atom
Excess energy over the best structure of this formula in the dataset = 14.4 meV per atom

a = 5.461 Å, b = 7.445 Å, c = 14.557 Å
α = 95.61°, β = 91.24°, γ = 110.92°
Fractional coordinates of all 54 atoms:
Li 0.000 0.000 0.000
Li 0.134 0.930 0.282
Li 0.330 0.329 0.335
Li 0.467 0.263 0.617
Li 0.661 0.662 0.669
Li 0.803 0.593 0.949
Mn 0.067 0.465 0.642
Mn 0.732 0.130 0.309
Mn 0.734 0.132 0.810
V 0.061 0.460 0.141
V 0.399 0.797 0.475
V 0.400 0.796 0.974
P 0.050 0.081 0.493
P 0.082 0.844 0.789
P 0.388 0.416 0.828
P 0.412 0.177 0.124
P 0.710 0.748 0.160
P 0.748 0.512 0.457
H 0.014 0.474 0.316
H 0.114 0.449 0.967
H 0.345 0.807 0.650
H 0.452 0.786 0.302
H 0.684 0.144 0.983
H 0.787 0.122 0.634
O 0.014 0.363 0.272
O 0.024 0.625 0.424
O 0.044 0.085 0.387
O 0.104 0.839 0.896
O 0.118 0.559 0.013
O 0.120 0.304 0.864
O 0.151 0.292 0.542
O 0.203 0.258 0.091
O 0.258 0.998 0.526
O 0.313 0.967 0.074
O 0.348 0.697 0.605
O 0.348 0.958 0.753
O 0.377 0.420 0.722
O 0.419 0.172 0.229
O 0.438 0.634 0.194
O 0.450 0.897 0.345
O 0.490 0.627 0.876
O 0.540 0.595 0.424
O 0.604 0.337 0.860
O 0.647 0.301 0.408
O 0.685 0.034 0.938
O 0.687 0.291 0.090
O 0.695 0.752 0.053
O 0.755 0.509 0.563
O 0.774 0.968 0.526
O 0.787 0.232 0.679
O 0.815 0.959 0.208
O 0.864 0.923 0.762
O 0.921 0.666 0.189
O 0.976 0.633 0.741

Entry 4:
Here is a geometry-optimized Li2MnVP2H2O10 structure from the Materials Project database. Energies are from GGA+U.

Summary:
Calculated formation energy = -2.4187 eV per atom
Space group = P-1, No. 2
Mass density = 3.1 g cm⁻³
Calculated volume = 363.70 Å³/cell
Total DFT energy (no corrections) = -6.803 eV per atom
Excess energy over the best structure of this formula in the dataset = 0.0 meV per atom

a = 6.875 Å, b = 7.318 Å, c = 8.160 Å
α = 92.64°, β = 93.16°, γ = 117.10°
Fractional coordinates of all 36 atoms:
Li 0.071 0.326 0.177
Li 0.426 0.673 0.323
Li 0.574 0.327 0.677
Li 0.929 0.674 0.823
Mn 0.000 0.500 0.500
Mn 0.500 0.500 0.000
V 0.000 0.000 0.500
V 0.500 0.000 0.000
P 0.017 0.732 0.154
P 0.479 0.268 0.346
P 0.521 0.732 0.654
P 0.983 0.268 0.846
H 0.213 0.835 0.650
H 0.287 0.161 0.850
H 0.713 0.839 0.150
H 0.787 0.165 0.350
O 0.042 0.122 0.740
O 0.057 0.770 0.604
O 0.117 0.622 0.262
O 0.166 0.843 0.018
O 0.197 0.435 0.944
O 0.308 0.568 0.553
O 0.327 0.152 0.481
O 0.381 0.379 0.239
O 0.443 0.225 0.898
O 0.462 0.878 0.761
O 0.538 0.122 0.239
O 0.557 0.775 0.102
O 0.619 0.621 0.761
O 0.673 0.848 0.519
O 0.692 0.432 0.447
O 0.803 0.565 0.056
O 0.834 0.157 0.982
O 0.883 0.378 0.738
O 0.943 0.230 0.396
O 0.958 0.878 0.260

Entry 5:
Here is a geometry-optimized LiMnVP2H2O10 structure from the Materials Project database. Energies are from GGA+U.

Summary:
Calculated formation energy = -2.3312 eV per atom
Space group = P-1, No. 2
Mass density = 3.1 g cm⁻³
Calculated volume = 359.41 Å³/cell
Total DFT energy (no corrections) = -6.861 eV per atom
Excess energy over the best structure of this formula in the dataset = 1.7 meV per atom

a = 5.339 Å, b = 7.345 Å, c = 10.455 Å
α = 106.73°, β = 95.04°, γ = 110.55°
Fractional coordinates of all 34 atoms:
Li 0.155 0.065 0.217
Li 0.845 0.935 0.783
Mn 0.247 0.742 0.747
Mn 0.753 0.258 0.253
V 0.000 0.500 0.000
V 0.500 0.000 0.500
P 0.149 0.295 0.527
P 0.345 0.199 0.974
P 0.655 0.801 0.026
P 0.851 0.705 0.473
H 0.064 0.597 0.257
H 0.465 0.904 0.246
H 0.535 0.096 0.754
H 0.936 0.403 0.743
O 0.009 0.536 0.821
O 0.079 0.237 0.373
O 0.111 0.796 0.415
O 0.122 0.277 0.933
O 0.211 0.964 0.890
O 0.277 0.531 0.599
O 0.364 0.207 0.564
O 0.390 0.700 0.076
O 0.399 0.235 0.126
O 0.489 0.037 0.314
O 0.511 0.963 0.686
O 0.601 0.765 0.874
O 0.610 0.300 0.924
O 0.636 0.793 0.436
O 0.723 0.469 0.401
O 0.789 0.036 0.110
O 0.878 0.723 0.067
O 0.889 0.204 0.585
O 0.921 0.763 0.627
O 0.991 0.464 0.179

Entry 6:
Here is a geometry-optimized Li2MnVP2H2O10 structure from the Materials Project database. Energies are from GGA+U.

Summary:
Calculated formation energy = -2.4055 eV per atom
Space group = P-1, No. 2
Mass density = 3.1 g cm⁻³
Calculated volume = 546.73 Å³/cell
Total DFT energy (no corrections) = -6.790 eV per atom
Excess energy over the best structure of this formula in the dataset = 13.2 meV per atom

a = 5.473 Å, b = 7.321 Å, c = 14.336 Å
α = 94.16°, β = 93.57°, γ = 106.68°
Fractional coordinates of all 54 atoms:
Li 0.019 0.087 0.416
Li 0.312 0.241 0.918
Li 0.351 0.427 0.749
Li 0.649 0.573 0.251
Li 0.688 0.759 0.082
Li 0.981 0.913 0.584
Mn 0.167 0.166 0.167
Mn 0.500 0.000 0.500
Mn 0.833 0.834 0.833
V 0.169 0.667 0.167
V 0.500 0.500 0.500
V 0.831 0.333 0.833
P 0.028 0.657 0.393
P 0.309 0.675 0.942
P 0.357 0.992 0.724
P 0.643 0.008 0.276
P 0.691 0.325 0.058
P 0.972 0.343 0.607
H 0.111 0.887 0.046
H 0.224 0.444 0.286
H 0.446 0.213 0.380
H 0.554 0.787 0.620
H 0.776 0.556 0.714
H 0.889 0.113 0.954
O 0.035 0.714 0.290
O 0.067 0.894 0.733
O 0.069 0.891 0.113
O 0.107 0.839 0.463
O 0.146 0.812 0.930
O 0.204 0.528 0.409
O 0.209 0.491 0.871
O 0.260 0.453 0.602
O 0.267 0.442 0.220
O 0.305 0.613 0.043
O 0.361 0.055 0.623
O 0.398 0.214 0.447
O 0.401 0.227 0.066
O 0.455 0.176 0.796
O 0.480 0.145 0.263
O 0.520 0.855 0.737
O 0.545 0.824 0.204
O 0.599 0.773 0.934
O 0.602 0.786 0.553
O 0.639 0.945 0.377
O 0.695 0.387 0.957
O 0.733 0.558 0.780
O 0.740 0.547 0.398
O 0.791 0.509 0.129
O 0.796 0.472 0.591
O 0.854 0.188 0.070
O 0.893 0.161 0.537
O 0.931 0.109 0.887
O 0.933 0.106 0.267
O 0.965 0.286 0.710